one.
The following is a PBE with a Hubbard U calculation of an optimized crystal structure of Li2TiFeO4, from Materials Project.

Lattice parameters (Å, degrees): 5.882 5.902 9.278 89.13 71.72 85.81
Space group P1 (No. 1)
Asymmetric unit:
Li 0.000 0.000 0.000 x1
Li 0.097 0.235 0.287 x1
Li 0.243 0.494 0.505 x1
Li 0.393 0.757 0.724 x1
Li 0.500 0.499 0.001 x1
Li 0.597 0.735 0.286 x1
Li 0.743 0.994 0.504 x1
Li 0.891 0.255 0.724 x1
Ti 0.108 0.711 0.259 x1
Ti 0.393 0.274 0.745 x1
Ti 0.613 0.215 0.256 x1
Ti 0.891 0.776 0.745 x1
Fe 0.243 0.995 0.505 x1
Fe 0.488 0.993 0.008 x1
Fe 0.743 0.495 0.505 x1
Fe 0.997 0.497 0.000 x1
O 0.103 0.982 0.755 x1
O 0.120 0.491 0.749 x1
O 0.213 0.740 0.047 x1
O 0.266 0.234 0.962 x1
O 0.360 0.503 0.265 x1
O 0.384 0.009 0.253 x1
O 0.491 0.245 0.510 x1
O 0.493 0.745 0.505 x1
O 0.603 0.482 0.755 x1
O 0.624 0.992 0.744 x1
O 0.731 0.255 0.046 x1
O 0.754 0.746 0.961 x1
O 0.860 0.003 0.265 x1
O 0.881 0.506 0.256 x1
O 0.991 0.745 0.508 x1
O 0.994 0.245 0.505 x1

Computed properties:
ρ	4.0	g/cm3

---

two.
The following is a PBE with a Hubbard U calculation of an optimized crystal structure of Li2TiFeO4, from Materials Project.

Lattice parameters (Å, degrees): 5.981 6.032 10.453 73.38 73.41 60.32
Space group P1 (No. 1)
Asymmetric unit:
Li 0.000 0.000 0.000 x1
Li 0.000 0.497 0.002 x1
Li 0.002 0.996 0.502 x1
Li 0.249 0.750 0.752 x1
Li 0.500 0.500 0.500 x1
Li 0.501 0.994 0.503 x1
Li 0.502 0.495 0.003 x1
Li 0.749 0.253 0.252 x1
Ti 0.245 0.248 0.741 x1
Ti 0.266 0.751 0.241 x1
Ti 0.732 0.254 0.760 x1
Ti 0.754 0.757 0.260 x1
Fe 0.000 0.500 0.500 x1
Fe 0.248 0.253 0.251 x1
Fe 0.500 0.000 0.000 x1
Fe 0.750 0.750 0.751 x1
O 0.107 0.647 0.137 x1
O 0.129 0.126 0.637 x1
O 0.131 0.099 0.139 x1
O 0.136 0.595 0.638 x1
O 0.347 0.412 0.368 x1
O 0.372 0.912 0.868 x1
O 0.387 0.859 0.365 x1
O 0.391 0.375 0.864 x1
O 0.608 0.628 0.137 x1
O 0.612 0.144 0.637 x1
O 0.626 0.092 0.132 x1
O 0.652 0.591 0.633 x1
O 0.860 0.409 0.363 x1
O 0.869 0.905 0.862 x1
O 0.870 0.877 0.364 x1
O 0.892 0.356 0.864 x1

Computed properties:
ρ	3.9	g/cm3

---

Relative energies in meV/atom: one 34; two 0